Record 1
Density functional theory data (PBE-GGA) for an optimized crystal structure of CsLu3F10.

Calculated values
Symmetry ... Cmce (64)
Crystal system ... orthorhombic
E_tot ... -6.39 eV per atom

a = 7.9552 Å, b = 7.9552 Å, c = 16.1459 Å
α = 90.00°, β = 90.00°, γ = 115.12°
Positions (direct):
Lu 0.2473 0.2527 0.2500
Lu 0.0238 0.4802 0.6136
Lu 0.0198 0.4762 0.8864
Lu 0.9762 0.5198 0.3864
Lu 0.2527 0.2473 0.7500
Lu 0.5198 0.9762 0.6136
Lu 0.4762 0.0198 0.1136
Lu 0.4802 0.0238 0.3864
Lu 0.7527 0.7473 0.7500
Lu 0.9802 0.5238 0.1136
Lu 0.7473 0.7527 0.2500
Lu 0.5238 0.9802 0.8864
F 0.6944 0.8250 0.6291
F 0.5881 0.9114 0.4874
F 0.4178 0.1552 0.8274
F 0.0886 0.4119 0.4874
F 0.6750 0.8056 0.8709
F 0.4119 0.0886 0.5126
F 0.8250 0.6944 0.3709
F 0.5886 0.9119 0.0126
F 0.4324 0.0676 0.2500
F 0.3056 0.1750 0.3709
F 0.5676 0.9324 0.7500
F 0.9324 0.5676 0.2500
F 0.9967 0.0033 0.7699
F 0.5033 0.4967 0.2699
F 0.2122 0.7878 0.1063
F 0.9178 0.6552 0.6726
F 0.2878 0.7122 0.6063
F 0.7257 0.2743 0.1129
F 0.9119 0.5886 0.9874
F 0.2743 0.7257 0.8871
F 0.0822 0.3448 0.3274
F 0.2257 0.7743 0.3871
F 0.8056 0.6750 0.1291
F 0.1944 0.3250 0.8709
F 0.3448 0.0822 0.6726
F 0.6552 0.9178 0.3274
F 0.9114 0.5881 0.5126
F 0.7122 0.2878 0.3937
F 0.1552 0.4178 0.1726
F 0.1750 0.3056 0.6291
F 0.4114 0.0881 0.9874
F 0.7743 0.2257 0.6129
F 0.5822 0.8448 0.1726
F 0.4967 0.5033 0.7301
F 0.0033 0.9967 0.2301
F 0.0676 0.4324 0.7500
F 0.0881 0.4114 0.0126
F 0.7878 0.2122 0.8937
F 0.3250 0.1944 0.1291
F 0.8448 0.5822 0.8274
Cs 0.5000 0.5000 0.5000
Cs 0.0000 0.0000 0.0000
Cs 0.0000 0.0000 0.5000
Cs 0.5000 0.5000 0.0000


Record 2
Density functional theory data (PBE-GGA) for an optimized crystal structure of Li6NCl3.

Calculated values
Symmetry ... P1 (1)
Crystal system ... triclinic
E_tot ... -3.68 eV per atom
Piezoelectric modulus e_max ... 1.709 C/m²

a = 3.7382 Å, b = 3.7409 Å, c = 13.4781 Å
α = 97.19°, β = 90.50°, γ = 119.94°
Positions (direct):
Li 0.3811 0.6752 0.9676
Li 0.6954 0.3305 0.9976
Li 0.1335 0.0572 0.8384
Li 0.1368 0.5305 0.3347
Li 0.6377 0.7788 0.5851
Li 0.9449 0.9467 0.1285
Cl 0.5236 0.2280 0.2523
Cl 0.0221 0.4749 0.5061
Cl 0.5201 0.7529 0.7568
N 0.0348 0.0005 0.9879


Record 3
Density functional theory data (PBE-GGA) for an optimized crystal structure of Sb.

Calculated values
Energy above the most stable polymorph in this dataset ... 0.333 eV/atom
Symmetry ... P-1 (2)
Crystal system ... triclinic

a = 6.6098 Å, b = 7.9033 Å, c = 10.4408 Å
α = 69.89°, β = 82.52°, γ = 70.53°
Positions (direct):
Sb 0.5000 0.0000 0.5000
Sb 0.5000 0.5000 0.5000
Sb 0.1163 0.4885 0.6969
Sb 0.0232 0.1143 0.2587
Sb 0.8837 0.5115 0.3031
Sb 0.3345 0.0801 0.7720
Sb 0.0000 0.0000 0.0000
Sb 0.0000 0.5000 0.0000
Sb 0.3389 0.3317 0.2321
Sb 0.9768 0.8857 0.7413
Sb 0.6733 0.2458 0.7798
Sb 0.3267 0.7542 0.2202
Sb 0.6610 0.6683 0.7679
Sb 0.6655 0.9199 0.2280


Record 4
Density functional theory data (PBE-GGA) for an optimized crystal structure of TmSb.

Calculated values
Symmetry ... Pm-3m (221)
Crystal system ... cubic
E_tot ... -5.02 eV per atom

a = 3.7566 Å, b = 3.7566 Å, c = 3.7566 Å
α = 90.00°, β = 90.00°, γ = 90.00°
Positions (direct):
Tm 0.0000 0.0000 0.0000
Sb 0.5000 0.5000 0.5000


Record 5
Density functional theory data (PBE-GGA) for an optimized crystal structure of Ba2PrNbO6.

Calculated values
Symmetry ... Pn-3 (201)
Crystal system ... cubic
E_tot ... -7.77 eV per atom

a = 8.7327 Å, b = 8.7327 Å, c = 8.7327 Å
α = 90.00°, β = 90.00°, γ = 90.00°
Positions (direct):
Pr 0.7500 0.7500 0.2500
Pr 0.2500 0.2500 0.2500
Pr 0.7500 0.2500 0.7500
Pr 0.2500 0.7500 0.7500
O 0.5201 0.2258 0.2776
O 0.2258 0.2776 0.5201
O 0.7258 0.2224 0.0201
O 0.2776 0.4799 0.7742
O 0.7224 0.5201 0.7742
O 0.4799 0.2258 0.7224
O 0.5201 0.7742 0.7224
O 0.0201 0.2742 0.7776
O 0.0201 0.7258 0.2224
O 0.7742 0.2776 0.4799
O 0.2258 0.7224 0.4799
O 0.2224 0.0201 0.7258
O 0.9799 0.2742 0.2224
O 0.2742 0.2224 0.9799
O 0.2776 0.5201 0.2258
O 0.2742 0.7776 0.0201
O 0.2224 0.9799 0.2742
O 0.7776 0.9799 0.7258
O 0.7258 0.7776 0.9799
O 0.4799 0.7742 0.2776
O 0.9799 0.7258 0.7776
O 0.7776 0.0201 0.2742
O 0.7742 0.7224 0.5201
O 0.7224 0.4799 0.2258
Ba 0.0000 0.0000 0.5000
Ba 0.5000 0.5000 0.0000
Ba 0.0000 0.5000 0.5000
Ba 0.5000 0.5000 0.5000
Ba 0.0000 0.5000 0.0000
Ba 0.5000 0.0000 0.0000
Ba 0.5000 0.0000 0.5000
Ba 0.0000 0.0000 0.0000
Nb 0.2500 0.7500 0.2500
Nb 0.2500 0.2500 0.7500
Nb 0.7500 0.7500 0.7500
Nb 0.7500 0.2500 0.2500


Record 6
Density functional theory data (PBE-GGA) for an optimized crystal structure of US2.

Calculated values
Symmetry ... C2 (5)
Crystal system ... monoclinic
E_tot ... -7.89 eV per atom

a = 7.8945 Å, b = 7.8945 Å, c = 5.1989 Å
α = 70.93°, β = 70.93°, γ = 83.90°
Positions (direct):
U 0.4995 0.8250 0.5863
U 0.1750 0.5005 0.4137
U 0.8242 0.4997 0.0856
U 0.5003 0.1758 0.9144
U 0.0003 0.9997 0.0000
S 0.8618 0.6998 0.4602
S 0.3002 0.1382 0.5398
S 0.3010 0.8622 0.1666
S 0.6995 0.1377 0.3251
S 0.8623 0.3005 0.6749
S 0.7026 0.8638 0.9613
S 0.4988 0.5012 0.0000
S 0.1362 0.2974 0.0387
S 0.5006 0.4994 0.5000
S 0.1378 0.6990 0.8334